VASP calculation (GGA+U) on an optimized crystal structure of Li4Co5O12.

Energy above the lowest structure with this stoichiometry in eV per formula unit: 0.000
Total magnetization in Bohr magnetons per cell: 10.00

Geometry as extended XYZ:
```
42
Lattice="4.913 0.000 0.000 0.000 8.426 0.000 -1.639 0.000 9.831" Properties=species:S:1:pos:R:3 pbc="T T T"
Li -0.360 8.422 2.298
Li -1.196 1.249 7.523
Li 1.273 0.000 0.008
Li 2.036 1.472 2.318
Li 1.238 5.685 7.514
Li 2.001 4.213 9.823
Li 4.470 5.462 2.308
Li 3.634 4.209 7.534
Co 1.197 5.702 0.028
Co 0.396 1.423 4.946
Co 0.417 4.216 4.910
Co 0.414 7.038 4.932
Co 1.245 2.846 0.008
Co 2.029 7.059 9.823
Co 2.860 2.825 4.899
Co 2.857 0.003 4.922
Co 2.878 5.637 4.886
Co 2.077 1.489 9.804
O 0.300 6.946 1.087
O 0.361 1.596 1.052
O -0.445 0.036 5.901
O -0.446 2.823 5.903
O -0.395 5.587 5.896
O 0.570 4.320 0.996
O 0.268 4.304 8.785
O 1.204 0.064 3.929
O 1.217 2.806 3.965
O 1.227 5.622 3.952
O 0.434 1.614 8.830
O 0.435 6.910 8.822
O 2.839 2.697 1.010
O 2.840 5.828 1.001
O 2.047 1.409 5.880
O 2.057 7.019 5.866
O 2.070 4.277 5.902
O 3.006 0.091 1.046
O 2.704 0.107 8.835
O 3.669 1.373 3.935
O 3.719 4.249 3.930
O 3.720 7.036 3.929
O 2.913 5.809 8.780
O 2.974 2.733 8.745
```